A geometry-optimized LaTiS3 structure, computed with GGA-PBE.

a b c (Å): 8.0584 3.7799 13.2486
angles (deg): 90.00 90.00 90.00
Last column: nearest neighbours and their distance in Å.
Space group Pnma (No. 62)
Unique sites:
La1 0.0734 0.2500 0.1703 [4 per cell]  8 S 2.96-3.04
Ti1 0.1507 0.7500 0.4490 [4 per cell]  6 S 2.38-2.53
S1 0.0266 0.7500 0.6119 [4 per cell]  3 Ti 2.38-2.50
S2 0.1639 0.7500 0.0079 [4 per cell]  2 Ti 2.53
S3 0.2073 0.2500 0.7856 [4 per cell]  1 Ti 2.45

Values from the calculation:
- formation enthalpy at 0 K (eV per atom) = -2.077
- crystal system = orthorhombic
- total DFT energy (no corrections) (eV/atom) = -6.82
- calculated volume (Å³/atom) = 20.18

=====

A geometry-optimized LaTmS3 structure, computed with GGA-PBE.

a b c (Å): 16.4841 3.9998 21.4322
angles (deg): 90.00 90.00 90.00
Last column: nearest neighbours and their distance in Å.
Space group Pnma (No. 62)
Unique sites:
La1 0.1591 0.2500 0.2454 [4 per cell]  7 S 2.90-3.10
La2 0.1700 0.7500 0.5871 [4 per cell]  8 S 2.87-3.07
La3 0.1939 0.2500 0.9208 [4 per cell]  8 S 2.89-3.10
Tm1 0.0568 0.7500 0.0690 [4 per cell]  6 S 2.61-2.78
Tm2 0.0659 0.2500 0.4203 [4 per cell]  7 S 2.71-2.85
Tm3 0.0950 0.2500 0.7496 [4 per cell]  6 S 2.65-2.79
S1 0.0364 0.7500 0.6822 [4 per cell]  3 Tm 2.65-2.77
S2 0.0426 0.2500 0.5521 [4 per cell]  3 Tm 2.75-2.85, 2 La 2.99
S3 0.0512 0.7500 0.1931 [4 per cell]  2 Tm 2.66-2.71, 2 La 2.90
S4 0.0592 0.7500 0.9421 [4 per cell]  3 Tm 2.72-2.78, 2 La 3.02
S5 0.1458 0.7500 0.3515 [4 per cell]  2 Tm 2.81, 3 La 3.03-3.04
S6 0.1586 0.2500 0.0631 [4 per cell]  2 Tm 2.61, 1 La 2.87
S7 0.1761 0.7500 0.8151 [4 per cell]  2 Tm 2.79, 3 La 3.04-3.10
S8 0.2086 0.2500 0.4826 [4 per cell]  1 Tm 2.71, 2 La 2.89
S9 0.2301 0.2500 0.6785 [4 per cell]  1 Tm 2.70, 2 La 2.97

Values from the calculation:
- formation enthalpy at 0 K (eV per atom) = -2.448
- crystal system = orthorhombic
- total DFT energy (no corrections) (eV/atom) = -6.51
- calculated volume (Å³/atom) = 23.55
- energy above the lowest structure with this stoichiometry (meV per atom) = 25

=====

A geometry-optimized LaTmS3 structure, computed with GGA-PBE.

a b c (Å): 11.0663 4.0019 21.6297
angles (deg): 90.00 101.48 90.00
Last column: nearest neighbours and their distance in Å.
Space group P2_1/m (No. 11)
Unique sites:
La1 0.0924 0.2500 0.3640 [2 per cell]  7 S 2.88-3.09
La2 0.2002 0.2500 0.0354 [2 per cell]  8 S 2.91-3.16
La3 0.3019 0.7500 0.7351 [2 per cell]  7 S 2.92-3.07
La4 0.3087 0.2500 0.2321 [2 per cell]  8 S 2.92-3.01
Tm1 0.0290 0.2500 0.8510 [2 per cell]  6 S 2.64-2.80
Tm2 0.1801 0.2500 0.5470 [2 per cell]  7 S 2.70-2.99
Tm3 0.4478 0.2500 0.9173 [2 per cell]  6 S 2.61-2.79
Tm4 0.4773 0.7500 0.4123 [2 per cell]  7 S 2.71-2.96
S1 0.0357 0.2500 0.2281 [2 per cell]  2 Tm 2.64, 1 La 2.88
S2 0.0580 0.7500 0.9431 [2 per cell]  2 Tm 2.80, 3 La 2.98-3.03
S3 0.0863 0.7500 0.4645 [2 per cell]  3 Tm 2.74-2.91, 2 La 2.96
S4 0.1245 0.2500 0.6633 [2 per cell]  1 Tm 2.70, 2 La 3.01
S5 0.2042 0.7500 0.1338 [2 per cell]  1 Tm 2.67, 4 La 2.91-2.98
S6 0.2529 0.7500 0.3262 [2 per cell]  1 Tm 2.79, 4 La 2.90-3.01
S7 0.2540 0.2500 0.8258 [2 per cell]  2 Tm 2.61-2.65, 2 La 2.92
S8 0.3421 0.7500 0.5986 [2 per cell]  4 Tm 2.77-2.87, 1 La 3.07
S9 0.3572 0.7500 0.9855 [2 per cell]  3 Tm 2.70-2.79, 2 La 2.99
S10 0.3655 0.2500 0.4638 [2 per cell]  4 Tm 2.71-2.99
S11 0.4541 0.2500 0.1330 [2 per cell]  2 Tm 2.61, 1 La 2.92
S12 0.4935 0.2500 0.7209 [2 per cell]  1 Tm 2.96, 4 La 2.98-2.99, 1 S 3.17

Values from the calculation:
- formation enthalpy at 0 K (eV per atom) = -2.474
- crystal system = monoclinic
- total DFT energy (no corrections) (eV/atom) = -6.54
- calculated volume (Å³/atom) = 23.47
- energy above the lowest structure with this stoichiometry (meV per atom) = 0

=====

Look up the total DFT energy (no corrections) of the second one.
-6.51 eV/atom

=====

The lowest calculated volume belongs to which entry?
LaTiS3

=====

Among the records above, which one has the highest formation enthalpy at 0 K?
LaTiS3